SrPrEuSbO6: relaxed, PBE-GGA.

a = 5.9131 Å, b = 6.0673 Å, c = 8.4806 Å
α = 90.09°, β = 90.54°, γ = 89.95°
Fractional coordinates of all 20 atoms:
Sr1 0.9878 0.0470 0.2515
Sr2 0.0122 0.9530 0.7485
Pr1 0.0000 0.5000 0.0000
Pr2 0.5000 0.0000 0.5000
Eu1 0.5135 0.5481 0.2482
Eu2 0.4865 0.4519 0.7518
Sb1 0.5000 0.0000 0.0000
Sb2 0.0000 0.5000 0.5000
O1 0.2245 0.1857 0.9494
O2 0.2761 0.6843 0.5546
O3 0.7755 0.8143 0.0506
O4 0.7239 0.3157 0.4454
O5 0.3232 0.7201 0.9448
O6 0.1792 0.2228 0.5542
O7 0.6768 0.2799 0.0552
O8 0.8208 0.7772 0.4458
O9 0.4041 0.9619 0.2283
O10 0.1042 0.4676 0.2718
O11 0.5959 0.0381 0.7717
O12 0.8958 0.5324 0.7282

Space-group type: P-1, No. 2
Energy in eV/atom: -7.640
Magnetization in Bohr magnetons per cell: 14.0

***

Hf9PW4: relaxed, PBE-GGA.

a = 12.2487 Å, b = 12.2487 Å, c = 15.0014 Å
α = 90.00°, β = 90.00°, γ = 120.00°
Fractional coordinates of all 84 atoms:
Hf1 0.5464 0.6991 0.6505
Hf2 0.2131 0.0324 0.9838
Hf3 0.8798 0.3657 0.3171
Hf4 0.6829 0.5626 0.5140
Hf5 0.3495 0.8960 0.8474
Hf6 0.0162 0.2293 0.1807
Hf7 0.8193 0.8355 0.7869
Hf8 0.4860 0.1688 0.1202
Hf9 0.1526 0.5022 0.4536
Hf10 0.4536 0.3009 0.3495
Hf11 0.1202 0.6343 0.6829
Hf12 0.7869 0.9676 0.0162
Hf13 0.3171 0.4374 0.4860
Hf14 0.9838 0.7707 0.8193
Hf15 0.6505 0.1040 0.1526
Hf16 0.1807 0.1645 0.2131
Hf17 0.8474 0.4978 0.5464
Hf18 0.5140 0.8312 0.8798
Hf19 0.3193 0.0324 0.4838
Hf20 0.9860 0.3657 0.8171
Hf21 0.6526 0.6991 0.1505
Hf22 0.1829 0.1688 0.6202
Hf23 0.8495 0.5022 0.9536
Hf24 0.5162 0.8355 0.2869
Hf25 0.0464 0.8960 0.3474
Hf26 0.7131 0.2293 0.6807
Hf27 0.3798 0.5626 0.0140
Hf28 0.6807 0.9676 0.5162
Hf29 0.3474 0.3009 0.8495
Hf30 0.0140 0.6343 0.1829
Hf31 0.8171 0.8312 0.3798
Hf32 0.4838 0.1645 0.7131
Hf33 0.1505 0.4978 0.0464
Hf34 0.9536 0.1040 0.6526
Hf35 0.6202 0.4374 0.9860
Hf36 0.2869 0.7707 0.3193
Hf37 0.9559 0.8333 0.5833
Hf38 0.6226 0.1667 0.9167
Hf39 0.2892 0.5000 0.2500
Hf40 0.0833 0.7059 0.4559
Hf41 0.7500 0.0392 0.7892
Hf42 0.4167 0.3726 0.1226
Hf43 0.2108 0.9608 0.7108
Hf44 0.8774 0.2941 0.0441
Hf45 0.5441 0.6274 0.3774
Hf46 0.0441 0.1667 0.4167
Hf47 0.7108 0.5000 0.7500
Hf48 0.3774 0.8333 0.0833
Hf49 0.9167 0.2941 0.5441
Hf50 0.5833 0.6274 0.8774
Hf51 0.2500 0.9608 0.2108
Hf52 0.7892 0.0392 0.2892
Hf53 0.4559 0.3726 0.6226
Hf54 0.1226 0.7059 0.9559
P1 0.7500 0.8333 0.5833
P2 0.4167 0.1667 0.9167
P3 0.0833 0.5000 0.2500
P4 0.2500 0.1667 0.4167
P5 0.9167 0.5000 0.7500
P6 0.5833 0.8333 0.0833
W1 0.3061 0.8333 0.5833
W2 0.9728 0.1667 0.9167
W3 0.6395 0.5000 0.2500
W4 0.0833 0.0561 0.8061
W5 0.7500 0.3895 0.1395
W6 0.4167 0.7228 0.4728
W7 0.8605 0.6105 0.3605
W8 0.5272 0.9439 0.6939
W9 0.1939 0.2772 0.0272
W10 0.6939 0.1667 0.4167
W11 0.3605 0.5000 0.7500
W12 0.0272 0.8333 0.0833
W13 0.9167 0.9439 0.1939
W14 0.5833 0.2772 0.5272
W15 0.2500 0.6105 0.8605
W16 0.1395 0.3895 0.6395
W17 0.8061 0.7228 0.9728
W18 0.4728 0.0561 0.3061
W19 0.0000 0.0000 0.0000
W20 0.6667 0.3333 0.3333
W21 0.3333 0.6667 0.6667
W22 0.8333 0.6667 0.1667
W23 0.5000 0.0000 0.5000
W24 0.1667 0.3333 0.8333

Energy in eV/atom: -9.849
Magnetization in Bohr magnetons per cell: 0.0

***

YClO: relaxed, PBE-GGA.

a = 3.8273 Å, b = 3.8273 Å, c = 9.8385 Å
α = 78.78°, β = 78.78°, γ = 60.00°
Fractional coordinates of all 6 atoms:
Y1 0.7168 0.7168 0.8497
Y2 0.2832 0.2832 0.1503
Cl1 0.8893 0.8893 0.3320
Cl2 0.1107 0.1107 0.6680
O1 0.3631 0.3631 0.9106
O2 0.6369 0.6369 0.0894

Space-group type: R-3m, No. 166
Energy in eV/atom: -7.509